(1)
# MgCr2Fe3NiP6O24 PBE+U optimized geometry
# **VASP energy**: -7.05 eV/atom
# **Formation energy**: -2.36 eV per atom
# **Offset from the most stable computed form**: 19.4 meV per atom
data_MgCr2Fe3NiP6O24
_chemical_formula_sum 'Mg3 Cr6 Fe9 Ni3 P18 O72'
_cell_length_a 8.6521
_cell_length_b 8.6521
_cell_length_c 20.7918
_cell_angle_alpha 90.00
_cell_angle_beta 90.00
_cell_angle_gamma 120.00
_symmetry_space_group_name_H-M 'R 3'
_symmetry_Int_Tables_number 146
_symmetry_space_group_name_Hall 'R 3'
loop_
_atom_site_label
_atom_site_fract_x
_atom_site_fract_y
_atom_site_fract_z
_atom_site_occupancy
Mg1 0.0000 0.0000 0.0000 1
Cr1 0.0000 0.0000 0.1353 1
Cr2 0.0000 0.0000 0.6262 1
Fe1 0.0000 0.0000 0.2806 1
Fe2 0.0000 0.0000 0.4806 1
Fe3 0.0000 0.0000 0.8789 1
Ni1 0.0000 0.0000 0.7597 1
P1 0.9999 0.2972 0.3810 1
P2 0.9999 0.6952 0.8803 1
O1 0.0001 0.8008 0.8208 1
O2 0.0023 0.8049 0.9391 1
O3 0.0042 0.8334 0.5556 1
O4 0.0125 0.1824 0.0657 1
O5 0.0375 0.2147 0.4394 1
O6 0.1530 0.4528 0.9884 1
O7 0.1616 0.4863 0.3626 1
O8 0.1648 0.6674 0.8721 1


(2)
# MgCr2Fe3NiP6O24 PBE+U optimized geometry
# **VASP energy**: -7.03 eV/atom
# **Formation energy**: -2.34 eV per atom
# **Offset from the most stable computed form**: 45.4 meV per atom
data_MgCr2Fe3NiP6O24
_chemical_formula_sum 'Mg3 Cr6 Fe9 Ni3 P18 O72'
_cell_length_a 8.6517
_cell_length_b 8.6517
_cell_length_c 21.0042
_cell_angle_alpha 90.00
_cell_angle_beta 90.00
_cell_angle_gamma 120.00
_symmetry_space_group_name_H-M 'R 3'
_symmetry_Int_Tables_number 146
_symmetry_space_group_name_Hall 'R 3'
loop_
_atom_site_label
_atom_site_fract_x
_atom_site_fract_y
_atom_site_fract_z
_atom_site_occupancy
Mg1 0.0000 0.0000 0.0000 1
Cr1 0.0000 0.0000 0.2601 1
Cr2 0.0000 0.0000 0.7511 1
Fe1 0.0000 0.0000 0.1231 1
Fe2 0.0000 0.0000 0.4049 1
Fe3 0.0000 0.0000 0.8822 1
Ni1 0.0000 0.0000 0.6096 1
P1 0.9997 0.3017 0.0058 1
P2 0.0418 0.6683 0.1722 1
O1 0.0069 0.1768 0.6843 1
O2 0.0084 0.1899 0.0627 1
O3 0.0117 0.8343 0.1867 1
O4 0.0268 0.8106 0.5656 1
O5 0.1402 0.4679 0.6138 1
O6 0.1575 0.6768 0.4855 1
O7 0.1601 0.7063 0.1136 1
O8 0.1678 0.4923 0.9971 1


(3)
# MgCr2Fe3NiP6O24 PBE+U optimized geometry
# **VASP energy**: -6.99 eV/atom
# **Formation energy**: -2.30 eV per atom
# **Offset from the most stable computed form**: 83.7 meV per atom
data_MgCr2Fe3NiP6O24
_chemical_formula_sum 'Mg3 Cr6 Fe9 Ni3 P18 O72'
_cell_length_a 8.6546
_cell_length_b 8.6546
_cell_length_c 21.0186
_cell_angle_alpha 90.00
_cell_angle_beta 90.00
_cell_angle_gamma 120.00
_symmetry_space_group_name_H-M 'R 3'
_symmetry_Int_Tables_number 146
_symmetry_space_group_name_Hall 'R 3'
loop_
_atom_site_label
_atom_site_fract_x
_atom_site_fract_y
_atom_site_fract_z
_atom_site_occupancy
Mg1 0.0000 0.0000 0.0000 1
Cr1 0.0000 0.0000 0.3748 1
Cr2 0.0000 0.0000 0.8670 1
Fe1 0.0000 0.0000 0.1259 1
Fe2 0.0000 0.0000 0.2436 1
Fe3 0.0000 0.0000 0.7188 1
Ni1 0.0000 0.0000 0.5177 1
P1 0.0024 0.7071 0.6190 1
P2 0.0293 0.3617 0.7865 1
O1 0.0029 0.1956 0.1787 1
O2 0.0077 0.8244 0.3066 1
O3 0.0090 0.1740 0.7957 1
O4 0.0397 0.8248 0.6783 1
O5 0.1522 0.7052 0.2274 1
O6 0.1530 0.4775 0.7314 1
O7 0.1626 0.4906 0.1088 1
O8 0.1649 0.6786 0.6030 1


(4)
# MgCr2Fe3NiP6O24 PBE+U optimized geometry
# **VASP energy**: -7.03 eV/atom
# **Formation energy**: -2.34 eV per atom
# **Offset from the most stable computed form**: 36.3 meV per atom
data_MgCr2Fe3NiP6O24
_chemical_formula_sum 'Mg1 Cr2 Fe3 Ni1 P6 O24'
_cell_length_a 8.6058
_cell_length_b 8.6221
_cell_length_c 8.6574
_cell_angle_alpha 118.98
_cell_angle_beta 90.69
_cell_angle_gamma 119.66
_symmetry_space_group_name_H-M 'P 1'
_symmetry_Int_Tables_number 1
loop_
_symmetry_equiv_pos_as_xyz
'x,y,z'
loop_
_atom_site_label
_atom_site_fract_x
_atom_site_fract_y
_atom_site_fract_z
_atom_site_occupancy
Mg1 0.0000 0.0000 0.0000 1
Cr1 0.3791 0.2468 0.6251 1
Cr2 0.8723 0.2653 0.1358 1
Fe1 0.2368 0.5196 0.7582 1
Fe2 0.5207 0.9521 0.4759 1
Fe3 0.7296 0.5516 0.2770 1
Ni1 0.1224 0.7717 0.8925 1
P1 0.1251 0.7682 0.5879 1
P2 0.3336 0.4625 0.0830 1
P3 0.4230 0.0596 0.1837 1
P4 0.6196 0.7415 0.6631 1
P5 0.8223 0.4560 0.8788 1
P6 0.9173 0.0486 0.3798 1
O1 0.0665 0.8777 0.7533 1
O2 0.1218 0.2095 0.5373 1
O3 0.1309 0.3053 0.0681 1
O4 0.1861 0.6486 0.6364 1
O5 0.2566 0.0677 0.1305 1
O6 0.2934 0.9535 0.5801 1
O7 0.3278 0.4170 0.8787 1
O8 0.3712 0.8337 0.0184 1
O9 0.3935 0.6941 0.2239 1
O10 0.4294 0.0858 0.3773 1
O11 0.4587 0.5427 0.6687 1
O12 0.4788 0.4260 0.1294 1
O13 0.5265 0.8241 0.6019 1
O14 0.6205 0.2336 0.2050 1
O15 0.6276 0.2846 0.7158 1
O16 0.6996 0.6433 0.5190 1
O17 0.7611 0.9223 0.8603 1
O18 0.7759 0.0819 0.4714 1
O19 0.8062 0.4160 0.0355 1
O20 0.8688 0.8226 0.2962 1
O21 0.8759 0.6815 0.9402 1
O22 0.9314 0.1085 0.2361 1
O23 0.9724 0.6008 0.3952 1
O24 0.9884 0.4447 0.8158 1


(5)
# Mg3Cr8FeO16 PBE+U optimized geometry
# **VASP energy**: -7.53 eV/atom
# **Formation energy**: -2.52 eV per atom
data_Mg3Cr8FeO16
_chemical_formula_sum 'Mg9 Cr24 Fe3 O48'
_cell_length_a 6.0218
_cell_length_b 6.0218
_cell_length_c 29.3388
_cell_angle_alpha 90.00
_cell_angle_beta 90.00
_cell_angle_gamma 120.00
_symmetry_space_group_name_H-M 'R 3 m'
_symmetry_Int_Tables_number 160
_symmetry_space_group_name_Hall 'R 3 -2"'
loop_
_atom_site_label
_atom_site_fract_x
_atom_site_fract_y
_atom_site_fract_z
_atom_site_occupancy
Mg1 0.0000 0.0000 0.0000 1
Mg2 0.0000 0.0000 0.1250 1
Mg3 0.0000 0.0000 0.5001 1
Cr1 0.0000 0.0000 0.3126 1
Cr2 0.0000 0.0000 0.8125 1
Cr3 0.0005 0.5002 0.5625 1
Cr4 0.0006 0.5003 0.0624 1
Fe1 0.0000 0.0000 0.6254 1
O1 0.0000 0.0000 0.1931 1
O2 0.0000 0.0000 0.4320 1
O3 0.0000 0.0000 0.6927 1
O4 0.0000 0.0000 0.9319 1
O5 0.0298 0.5149 0.4356 1
O6 0.0334 0.5167 0.9358 1
O7 0.1814 0.3628 0.0229 1
O8 0.1814 0.3628 0.5227 1


(6)
# Mg3Cr6Fe4O24 PBE+U optimized geometry
# **VASP energy**: -6.70 eV/atom
# **Formation energy**: -1.90 eV per atom
data_Mg3Cr6Fe4O24
_chemical_formula_sum 'Mg3 Cr6 Fe4 O24'
_cell_length_a 6.6933
_cell_length_b 8.1506
_cell_length_c 9.8295
_cell_angle_alpha 104.81
_cell_angle_beta 105.90
_cell_angle_gamma 102.08
_symmetry_space_group_name_H-M 'P -1'
_symmetry_Int_Tables_number 2
loop_
_symmetry_equiv_pos_as_xyz
'x,y,z'
'-x,-y,-z'
loop_
_atom_site_label
_atom_site_fract_x
_atom_site_fract_y
_atom_site_fract_z
_atom_site_occupancy
Mg1 0.0000 0.0000 0.0000 1
Mg2 0.2783 0.7906 0.2910 1
Cr1 0.1019 0.5974 0.8318 1
Cr2 0.2223 0.1561 0.7719 1
Cr3 0.3980 0.2262 0.3695 1
Fe1 0.0451 0.7116 0.5162 1
Fe2 0.3794 0.4550 0.1080 1
O1 0.0114 0.2170 0.6670 1
O2 0.0714 0.5504 0.6429 1
O3 0.1250 0.8069 0.9172 1
O4 0.1315 0.5312 0.1541 1
O5 0.1789 0.9418 0.6840 1
O6 0.2163 0.1987 0.9546 1
O7 0.2362 0.2821 0.4666 1
O8 0.2663 0.0160 0.2416 1
O9 0.3312 0.5399 0.9239 1
O10 0.3549 0.7622 0.5007 1
O11 0.4428 0.3665 0.2738 1
O12 0.4734 0.2712 0.7728 1


(7)
# MgCr4FeO8 PBE+U optimized geometry
# **VASP energy**: -7.58 eV/atom
# **Formation energy**: -2.40 eV per atom
data_MgCr4FeO8
_chemical_formula_sum 'Mg4 Cr16 Fe4 O32'
_cell_length_a 8.5162
_cell_length_b 8.5162
_cell_length_c 8.5162
_cell_angle_alpha 90.00
_cell_angle_beta 90.00
_cell_angle_gamma 90.00
_symmetry_space_group_name_H-M 'F -4 3 m'
_symmetry_Int_Tables_number 216
_symmetry_space_group_name_Hall 'F -4 2 3'
loop_
_atom_site_label
_atom_site_fract_x
_atom_site_fract_y
_atom_site_fract_z
_atom_site_occupancy
Mg1 0.0000 0.0000 0.0000 1
Cr1 0.1252 0.1252 0.3748 1
Fe1 0.2500 0.2500 0.7500 1
O1 0.1129 0.1129 0.6129 1
O2 0.1362 0.1362 0.1362 1


(8)
# Mn2CrFe3P6O24 PBE+U optimized geometry
# **VASP energy**: -7.26 eV/atom
# **Formation energy**: -2.37 eV per atom
data_Mn2CrFe3P6O24
_chemical_formula_sum 'Mn6 Cr3 Fe9 P18 O72'
_cell_length_a 8.6395
_cell_length_b 8.6395
_cell_length_c 21.0528
_cell_angle_alpha 90.00
_cell_angle_beta 90.00
_cell_angle_gamma 120.00
_symmetry_space_group_name_H-M 'R 3'
_symmetry_Int_Tables_number 146
_symmetry_space_group_name_Hall 'R 3'
loop_
_atom_site_label
_atom_site_fract_x
_atom_site_fract_y
_atom_site_fract_z
_atom_site_occupancy
Mn1 0.0000 0.0000 0.0000 1
Mn2 0.0000 0.0000 0.4990 1
Cr1 0.0000 0.0000 0.6433 1
Fe1 0.0000 0.0000 0.1464 1
Fe2 0.0000 0.0000 0.3550 1
Fe3 0.0000 0.0000 0.8549 1
P1 0.0007 0.2925 0.7502 1
P2 0.0010 0.7059 0.2511 1
O1 0.0033 0.8045 0.3114 1
O2 0.0039 0.8036 0.1903 1
O3 0.0060 0.1988 0.8106 1
O4 0.0145 0.8327 0.9237 1
O5 0.0194 0.1853 0.4227 1
O6 0.1426 0.4730 0.3561 1
O7 0.1704 0.4810 0.7426 1
O8 0.1704 0.6833 0.2461 1


(9)
# Mn3CrFe2P6O24 PBE+U optimized geometry
# **VASP energy**: -7.28 eV/atom
# **Formation energy**: -2.36 eV per atom
data_Mn3CrFe2P6O24
_chemical_formula_sum 'Mn9 Cr3 Fe6 P18 O72'
_cell_length_a 8.6189
_cell_length_b 8.6189
_cell_length_c 20.6336
_cell_angle_alpha 90.00
_cell_angle_beta 90.00
_cell_angle_gamma 120.00
_symmetry_space_group_name_H-M 'R 3'
_symmetry_Int_Tables_number 146
_symmetry_space_group_name_Hall 'R 3'
loop_
_atom_site_label
_atom_site_fract_x
_atom_site_fract_y
_atom_site_fract_z
_atom_site_occupancy
Mn1 0.0000 0.0000 0.0000 1
Mn2 0.0000 0.0000 0.2128 1
Mn3 0.0000 0.0000 0.7157 1
Cr1 0.0000 0.0000 0.5004 1
Fe1 0.0000 0.0000 0.3566 1
Fe2 0.0000 0.0000 0.8571 1
P1 0.9995 0.2925 0.6104 1
P2 0.0020 0.7071 0.1061 1
O1 0.0007 0.1965 0.6722 1
O2 0.0062 0.7986 0.1689 1
O3 0.0118 0.1800 0.2873 1
O4 0.0139 0.8323 0.7802 1
O5 0.1378 0.4653 0.2148 1
O6 0.1394 0.6682 0.7112 1
O7 0.1702 0.4841 0.6018 1
O8 0.1720 0.6838 0.0966 1


(10)
# Mn3Cr2FeP6O24 PBE+U optimized geometry
# **VASP energy**: -7.36 eV/atom
# **Formation energy**: -2.39 eV per atom
data_Mn3Cr2FeP6O24
_chemical_formula_sum 'Mn9 Cr6 Fe3 P18 O72'
_cell_length_a 8.6567
_cell_length_b 8.6567
_cell_length_c 20.4103
_cell_angle_alpha 90.00
_cell_angle_beta 90.00
_cell_angle_gamma 120.00
_symmetry_space_group_name_H-M 'R 3'
_symmetry_Int_Tables_number 146
_symmetry_space_group_name_Hall 'R 3'
loop_
_atom_site_label
_atom_site_fract_x
_atom_site_fract_y
_atom_site_fract_z
_atom_site_occupancy
Mn1 0.0000 0.0000 0.0000 1
Mn2 0.0000 0.0000 0.2095 1
Mn3 0.0000 0.0000 0.4999 1
Cr1 0.0000 0.0000 0.3552 1
Cr2 0.0000 0.0000 0.8541 1
Fe1 0.0000 0.0000 0.7082 1
P1 0.0001 0.2982 0.6047 1
P2 0.0349 0.6675 0.7717 1
O1 0.0080 0.7997 0.1675 1
O2 0.0088 0.8342 0.7817 1
O3 0.0113 0.2046 0.6659 1
O4 0.0118 0.1780 0.2834 1
O5 0.1327 0.4595 0.2085 1
O6 0.1330 0.6738 0.7091 1
O7 0.1660 0.4909 0.5935 1
O8 0.1665 0.6756 0.0939 1